The following is a DFT calculation (PBE) of an optimized crystal structure of ZnS.

Cell and atoms, written as POSCAR:
```
ZnS
1.0
-3.427 -0.097 -1.761
2.924 -2.113 -1.357
-15.818 -43.176 33.156
S Zn
18 18
Direct
0.333 0.667 0.875
0.667 0.333 0.153
0.333 0.667 0.264
0.000 0.000 0.375
0.000 0.000 0.931
0.667 0.333 0.819
0.333 0.667 0.431
0.667 0.333 0.653
0.333 0.667 0.097
0.667 0.333 0.319
0.333 0.667 0.542
0.000 0.000 0.597
0.000 0.000 0.708
0.667 0.333 0.486
0.333 0.667 0.764
0.000 0.000 0.042
0.000 0.000 0.208
0.667 0.333 0.986
0.333 0.667 0.389
0.667 0.333 0.611
0.333 0.667 0.722
0.667 0.333 0.278
0.000 0.000 0.167
0.000 0.000 0.333
0.000 0.000 0.889
0.333 0.667 0.056
0.000 0.000 0.667
0.000 0.000 0.000
0.333 0.667 0.833
0.333 0.667 0.222
0.000 0.000 0.556
0.333 0.667 0.500
0.667 0.333 0.944
0.667 0.333 0.444
0.667 0.333 0.778
0.667 0.333 0.111
```

Results
Symmetry: P3m1 (156)
ΔH_f (0 K): -1.062 eV/atom
VASP energy: -126.31 eV/cell

***

The following is a DFT calculation (PBE) of an optimized crystal structure of ZnS.

Cell and atoms, written as POSCAR:
```
ZnS
1.0
-5.303 -10.115 -3.286
11.492 -3.652 -6.653
4.782 -5.418 12.148
Zn S
50 50
Direct
0.017 0.718 0.253
0.517 0.789 0.615
0.312 0.800 0.153
0.897 0.505 0.480
0.769 0.030 0.364
0.822 0.664 0.053
0.279 0.668 0.368
0.985 0.129 0.207
0.908 0.562 0.784
0.619 0.720 0.829
0.387 0.219 0.982
0.355 0.603 0.948
0.751 0.850 0.210
0.163 0.122 0.549
0.058 0.943 0.942
0.111 0.295 0.532
0.851 0.333 0.642
0.110 0.511 0.710
0.138 0.214 0.703
0.864 0.011 0.962
0.867 0.084 0.681
0.309 0.965 0.637
0.616 0.907 0.406
0.584 0.129 0.585
0.011 0.394 0.819
0.376 0.312 0.196
0.730 0.577 0.646
0.616 0.452 0.390
0.175 0.204 0.917
0.126 0.713 0.863
0.742 0.016 0.541
0.977 0.970 0.576
0.544 0.009 0.812
0.753 0.732 0.427
0.883 0.829 0.937
0.386 0.416 0.425
0.933 0.662 0.642
0.517 0.861 0.042
0.345 0.906 0.892
0.387 0.061 0.418
0.199 0.541 0.560
0.602 0.396 0.173
0.599 0.222 0.411
0.259 0.326 0.811
0.231 0.168 0.092
0.173 0.261 0.276
0.659 0.477 0.955
0.184 0.373 0.119
0.905 0.433 0.185
0.512 0.090 0.183
0.551 0.352 0.506
0.948 0.748 0.407
0.255 0.602 0.810
0.448 0.929 0.180
0.691 0.188 0.828
0.136 0.027 0.691
0.446 0.343 0.870
0.755 0.045 0.820
0.756 0.378 0.290
0.923 0.347 0.500
0.942 0.116 0.373
0.021 0.635 0.493
0.823 0.089 0.106
0.431 0.882 0.748
0.540 0.165 0.745
0.685 0.781 0.966
0.531 0.243 0.103
0.025 0.567 0.173
0.195 0.530 0.185
0.697 0.412 0.700
0.369 0.110 0.569
0.176 0.096 0.226
0.465 0.462 0.269
0.720 0.574 0.476
0.561 0.645 0.697
0.904 0.799 0.138
0.202 0.362 0.406
0.143 0.374 0.946
0.481 0.011 0.962
0.043 0.104 0.971
0.711 0.018 0.191
0.637 0.771 0.300
0.359 0.580 0.483
0.062 0.017 0.435
0.746 0.515 0.100
0.946 0.667 0.918
0.941 0.832 0.671
0.413 0.898 0.396
0.429 0.706 0.063
0.741 0.228 0.303
0.776 0.441 0.837
0.011 0.299 0.165
0.096 0.764 0.704
0.201 0.839 0.966
0.469 0.459 0.971
0.945 0.234 0.747
0.442 0.171 0.315
0.684 0.845 0.556
0.200 0.782 0.279
0.355 0.838 0.520
```

Results
Symmetry: P1 (1)
ΔH_f (0 K): -0.589 eV/atom
VASP energy: -303.55 eV/cell

***

The following is a DFT calculation (PBE) of an optimized crystal structure of ZnS.

Cell and atoms, written as POSCAR:
```
ZnS
1.0
-2.093 1.522 -2.883
-2.158 3.155 0.630
42.156 34.225 -15.134
S Zn
18 18
Direct
0.079 0.079 0.764
0.708 0.708 0.875
0.338 0.338 0.986
0.171 0.171 0.486
0.764 0.764 0.708
0.579 0.579 0.264
0.819 0.819 0.542
0.875 0.875 0.375
0.931 0.931 0.208
0.523 0.523 0.431
0.634 0.634 0.097
0.282 0.282 0.153
0.394 0.394 0.819
0.023 0.023 0.930
0.227 0.227 0.319
0.986 0.986 0.042
0.468 0.468 0.597
0.116 0.116 0.653
0.241 0.241 0.278
0.185 0.185 0.444
0.778 0.778 0.667
0.889 0.889 0.333
0.537 0.537 0.389
0.648 0.648 0.056
0.296 0.296 0.111
0.130 0.130 0.611
0.481 0.481 0.556
0.093 0.093 0.722
0.593 0.593 0.222
0.407 0.407 0.778
0.000 0.000 0.000
0.722 0.722 0.833
0.833 0.833 0.500
0.352 0.352 0.944
0.944 0.944 0.167
0.037 0.037 0.889
```

Results
Symmetry: R3m (160)
ΔH_f (0 K): -1.051 eV/atom
VASP energy: -125.92 eV/cell

***

The following is a DFT calculation (PBE) of an optimized crystal structure of ZnS.

Cell and atoms, written as POSCAR:
```
ZnS
1.0
13.018 -0.052 -0.773
-0.004 14.270 0.920
-0.764 0.925 13.004
Zn S
50 50
Direct
0.725 0.783 0.381
0.273 0.432 0.431
0.320 0.448 0.900
0.964 0.104 0.375
0.578 0.730 0.028
0.922 0.643 0.715
0.996 0.920 0.694
0.841 0.100 0.580
0.572 0.065 0.581
0.250 0.606 0.640
0.277 0.867 0.692
0.292 0.837 0.036
0.119 0.216 0.815
0.990 0.855 0.313
0.504 0.311 0.458
0.249 0.227 0.280
0.598 0.888 0.570
0.218 0.638 0.894
0.874 0.330 0.415
0.393 0.687 0.049
0.700 0.968 0.727
0.527 0.373 0.195
0.838 0.706 0.215
0.296 0.827 0.419
0.998 0.453 0.439
0.984 0.195 0.167
0.407 0.289 0.090
0.811 0.344 0.024
0.488 0.694 0.860
0.600 0.580 0.649
0.165 0.659 0.339
0.670 0.765 0.821
0.736 0.543 0.939
0.188 0.949 0.293
0.049 0.844 0.068
0.559 0.896 0.837
0.018 0.443 0.731
0.586 0.385 0.913
0.666 0.952 0.174
0.523 0.989 0.352
0.393 0.262 0.734
0.145 0.109 0.009
0.104 0.878 0.464
0.731 0.118 0.332
0.748 0.916 0.932
0.814 0.576 0.511
0.909 0.241 0.896
0.258 0.106 0.863
0.538 0.571 0.366
0.774 0.422 0.754
0.678 0.740 0.650
0.399 0.961 0.787
0.604 0.893 0.026
0.017 0.730 0.210
0.910 0.958 0.011
0.758 0.667 0.049
0.324 0.711 0.761
0.552 0.153 0.713
0.534 0.297 0.646
0.679 0.424 0.069
0.401 0.893 0.554
0.985 0.553 0.581
0.983 0.320 0.038
0.814 0.742 0.576
0.136 0.957 0.608
0.877 0.019 0.739
0.639 0.187 0.456
0.131 0.500 0.340
0.179 0.508 0.780
0.022 0.765 0.772
0.310 0.743 0.276
0.416 0.646 0.238
0.108 0.115 0.296
0.951 0.100 0.020
0.703 0.474 0.591
0.254 0.216 0.111
0.241 0.193 0.698
0.462 0.614 0.515
0.853 0.231 0.278
0.588 0.420 0.351
0.113 0.763 0.921
0.737 0.628 0.342
0.765 0.247 0.541
0.728 0.293 0.863
0.366 0.503 0.572
0.413 0.030 0.471
0.568 0.836 0.404
0.423 0.319 0.899
0.880 0.525 0.842
0.591 0.080 0.220
0.178 0.717 0.503
0.808 0.865 0.250
0.326 0.282 0.424
0.846 0.011 0.448
0.970 0.287 0.738
0.182 0.951 0.106
0.826 0.758 0.935
0.310 0.540 0.026
0.577 0.550 0.825
0.360 0.984 0.932
```

Results
Symmetry: P1 (1)
ΔH_f (0 K): -0.622 eV/atom
VASP energy: -306.87 eV/cell

***

The following is a DFT calculation (PBE) of an optimized crystal structure of ZnS.

Cell and atoms, written as POSCAR:
```
ZnS
1.0
-2.475 1.464 -2.563
1.837 -3.299 -0.764
-56.297 -38.805 32.195
S Zn
24 24
Direct
0.333 0.667 0.406
0.000 0.000 0.740
0.333 0.667 0.781
0.667 0.333 0.323
0.667 0.333 0.531
0.000 0.000 0.906
0.667 0.333 0.948
0.000 0.000 0.490
0.667 0.333 0.448
0.333 0.667 0.281
0.333 0.667 0.865
0.667 0.333 0.823
0.333 0.667 0.031
0.000 0.000 0.365
0.333 0.667 0.656
0.000 0.000 0.615
0.333 0.667 0.156
0.667 0.333 0.115
0.333 0.667 0.573
0.000 0.000 0.198
0.667 0.333 0.698
0.667 0.333 0.240
0.000 0.000 0.990
0.000 0.000 0.073
0.000 0.000 0.958
0.333 0.667 0.625
0.333 0.667 0.542
0.000 0.000 0.333
0.667 0.333 0.083
0.000 0.000 0.042
0.667 0.333 0.792
0.667 0.333 0.292
0.667 0.333 0.500
0.000 0.000 0.167
0.667 0.333 0.417
0.333 0.667 0.375
0.333 0.667 0.125
0.333 0.667 0.833
0.000 0.000 0.458
0.333 0.667 0.000
0.333 0.667 0.750
0.667 0.333 0.917
0.000 0.000 0.583
0.000 0.000 0.708
0.000 0.000 0.875
0.333 0.667 0.250
0.667 0.333 0.667
0.667 0.333 0.208
```

Results
Symmetry: P3m1 (156)
ΔH_f (0 K): -1.062 eV/atom
VASP energy: -168.42 eV/cell

***

The following is a DFT calculation (PBE) of an optimized crystal structure of ZnS.

Cell and atoms, written as POSCAR:
```
ZnS
1.0
1.926 -3.336 0.000
1.926 3.336 0.000
0.000 0.000 44.103
Zn S
14 14
Direct
0.333 0.667 0.857
0.000 0.000 0.714
0.333 0.667 0.214
0.000 0.000 0.929
0.667 0.333 0.786
0.333 0.667 0.000
0.333 0.667 0.357
0.000 0.000 0.143
0.000 0.000 0.429
0.667 0.333 0.500
0.667 0.333 0.286
0.000 0.000 0.571
0.667 0.333 0.071
0.667 0.333 0.643
0.000 0.000 0.196
0.333 0.667 0.411
0.000 0.000 0.768
0.667 0.333 0.839
0.333 0.667 0.054
0.000 0.000 0.482
0.333 0.667 0.268
0.667 0.333 0.696
0.000 0.000 0.982
0.667 0.333 0.554
0.667 0.333 0.339
0.333 0.667 0.911
0.000 0.000 0.625
0.667 0.333 0.125
```

Results
Symmetry: P3m1 (156)
ΔH_f (0 K): -1.063 eV/atom
VASP energy: -98.27 eV/cell

***

The following is a DFT calculation (PBE) of an optimized crystal structure of ZnS.

Cell and atoms, written as POSCAR:
```
ZnS
1.0
1.927 -3.337 0.000
1.927 3.337 0.000
0.000 0.000 88.154
Zn S
28 28
Direct
0.667 0.333 0.357
0.000 0.000 0.464
0.667 0.333 0.893
0.333 0.667 0.679
0.000 0.000 0.643
0.667 0.333 0.607
0.000 0.000 0.857
0.000 0.000 0.750
0.000 0.000 0.179
0.667 0.333 0.143
0.667 0.333 0.821
0.667 0.333 0.714
0.000 0.000 0.571
0.000 0.000 0.393
0.000 0.000 0.964
0.333 0.667 0.214
0.000 0.000 0.286
0.667 0.333 0.036
0.333 0.667 0.321
0.000 0.000 0.071
0.333 0.667 0.536
0.667 0.333 0.500
0.333 0.667 0.000
0.333 0.667 0.107
0.333 0.667 0.786
0.667 0.333 0.250
0.333 0.667 0.429
0.333 0.667 0.929
0.333 0.667 0.705
0.000 0.000 0.777
0.333 0.667 0.241
0.667 0.333 0.062
0.000 0.000 0.491
0.667 0.333 0.634
0.000 0.000 0.312
0.000 0.000 0.098
0.667 0.333 0.527
0.333 0.667 0.955
0.000 0.000 0.991
0.333 0.667 0.027
0.667 0.333 0.920
0.333 0.667 0.455
0.333 0.667 0.562
0.333 0.667 0.134
0.000 0.000 0.420
0.000 0.000 0.884
0.000 0.000 0.670
0.667 0.333 0.277
0.333 0.667 0.813
0.667 0.333 0.741
0.667 0.333 0.170
0.000 0.000 0.598
0.667 0.333 0.848
0.000 0.000 0.205
0.667 0.333 0.384
0.333 0.667 0.348
```

Results
Symmetry: P3m1 (156)
ΔH_f (0 K): -1.062 eV/atom
VASP energy: -196.50 eV/cell

***

Copy entry 1 word for word.
The following is a DFT calculation (PBE) of an optimized crystal structure of ZnS.

Cell and atoms, written as POSCAR:
```
ZnS
1.0
-3.427 -0.097 -1.761
2.924 -2.113 -1.357
-15.818 -43.176 33.156
S Zn
18 18
Direct
0.333 0.667 0.875
0.667 0.333 0.153
0.333 0.667 0.264
0.000 0.000 0.375
0.000 0.000 0.931
0.667 0.333 0.819
0.333 0.667 0.431
0.667 0.333 0.653
0.333 0.667 0.097
0.667 0.333 0.319
0.333 0.667 0.542
0.000 0.000 0.597
0.000 0.000 0.708
0.667 0.333 0.486
0.333 0.667 0.764
0.000 0.000 0.042
0.000 0.000 0.208
0.667 0.333 0.986
0.333 0.667 0.389
0.667 0.333 0.611
0.333 0.667 0.722
0.667 0.333 0.278
0.000 0.000 0.167
0.000 0.000 0.333
0.000 0.000 0.889
0.333 0.667 0.056
0.000 0.000 0.667
0.000 0.000 0.000
0.333 0.667 0.833
0.333 0.667 0.222
0.000 0.000 0.556
0.333 0.667 0.500
0.667 0.333 0.944
0.667 0.333 0.444
0.667 0.333 0.778
0.667 0.333 0.111
```

Results
Symmetry: P3m1 (156)
ΔH_f (0 K): -1.062 eV/atom
VASP energy: -126.31 eV/cell